Entry 1:
The following is a DFT calculation (GGA-PBE) of a geometry-optimized SnPbO3 structure.

Values from the calculation:
Energy   -5.8620 eV/atom

Cell lengths 4.128, 4.128, 4.128 Å; angles 90.00, 90.00, 90.00 degrees
Space group Pm-3m (No. 221)
One atom of each set of equivalent atoms:
Sn 0.000 0.000 0.000 [1 per cell]
Pb 0.500 0.500 0.500 [1 per cell]
O 0.000 0.000 0.500 [3 per cell]



Entry 2:
The following is a DFT calculation (GGA-PBE) of a geometry-optimized Ga3Ag structure.

Values from the calculation:
Energy   -2.9247 eV/atom

Cell lengths 6.709, 6.709, 6.709 Å; angles 90.00, 90.00, 90.00 degrees
Space group Fm-3m (No. 225)
One atom of each set of equivalent atoms:
Ga 0.000 0.000 0.000 [4 per cell]
Ga 0.250 0.250 0.250 [8 per cell]
Ag 0.000 0.000 0.500 [4 per cell]



Entry 3:
The following is a DFT calculation (GGA-PBE) of a geometry-optimized Tb5Ge3 structure.

Values from the calculation:
Energy   -5.4173 eV/atom

Cell lengths 8.5604, 8.5604, 6.4646 Å; angles 90.00, 90.00, 120.00 degrees
Space group P6_3/mcm (No. 193)
One atom of each set of equivalent atoms:
Tb 0.0000 0.2422 0.2500 [6 per cell]
Tb 0.3333 0.6667 0.0000 [4 per cell]
Ge 0.0000 0.3938 0.7500 [6 per cell]



Entry 4:
The following is a DFT calculation (GGA-PBE) of a geometry-optimized K8Zr6BBr20 structure.

Values from the calculation:
Energy   -4.4193 eV/atom

Cell lengths 16.522, 16.522, 16.522 Å; angles 90.00, 90.00, 90.00 degrees
Space group Fm-3m (No. 225)
One atom of each set of equivalent atoms:
K 0.140 0.140 0.140 [32 per cell]
Zr 0.000 0.000 0.359 [24 per cell]
B 0.000 0.000 0.500 [4 per cell]
Br 0.000 0.000 0.182 [24 per cell]
Br 0.000 0.165 0.335 [48 per cell]
Br 0.250 0.250 0.250 [8 per cell]



Entry 5:
The following is a DFT calculation (GGA-PBE) of a geometry-optimized GdSI structure.

Values from the calculation:
Energy   -8.4008 eV/atom

Cell lengths 4.263, 5.395, 9.589 Å; angles 90.00, 90.00, 90.00 degrees
Space group Pmmn (No. 59, origin choice 2)
One atom of each set of equivalent atoms:
Gd 0.250 0.250 0.122 [2 per cell]
S 0.250 0.750 0.063 [2 per cell]
I 0.250 0.750 0.645 [2 per cell]



Entry 6:
The following is a DFT calculation (GGA-PBE) of a geometry-optimized Na2Zn3S4 structure.

Values from the calculation:
Energy   -3.3859 eV/atom

Cell lengths 5.810, 10.178, 12.918 Å; angles 90.00, 90.00, 90.00 degrees
Space group Ibam (No. 72)
One atom of each set of equivalent atoms:
Na 0.240 0.126 0.000 [8 per cell]
Zn 0.000 0.217 0.250 [8 per cell]
Zn 0.000 0.500 0.250 [4 per cell]
S 0.227 0.368 0.139 [16 per cell]



Entry 7:
The following is a DFT calculation (GGA-PBE) of a geometry-optimized Sm2C structure.

Values from the calculation:
Energy   -6.3841 eV/atom

Cell lengths 3.6532, 3.6532, 19.3564 Å; angles 90.00, 90.00, 120.00 degrees
Space group R-3m (No. 166, hexagonal axes)
One atom of each set of equivalent atoms:
Sm 0.0000 0.0000 0.2387 [6 per cell]
C 0.0000 0.0000 0.5000 [3 per cell]



Entry 8:
The following is a DFT calculation (GGA-PBE) of a geometry-optimized NaCa4B3O9 structure.

Values from the calculation:
Energy   -7.1315 eV/atom

Cell lengths 10.777, 11.374, 6.540 Å; angles 90.00, 90.00, 90.00 degrees
Space group Ama2 (No. 40)
One atom of each set of equivalent atoms:
Na 0.250 0.075 0.000 [4 per cell]
Ca 0.000 0.000 0.429 [4 per cell]
Ca 0.028 0.286 0.570 [8 per cell]
Ca 0.250 0.350 0.203 [4 per cell]
B 0.000 0.000 0.854 [4 per cell]
B 0.250 0.122 0.415 [4 per cell]
B 0.250 0.328 0.777 [4 per cell]
O 0.000 0.000 0.064 [4 per cell]
O 0.029 0.397 0.249 [8 per cell]
O 0.139 0.162 0.323 [8 per cell]
O 0.139 0.310 0.883 [8 per cell]
O 0.250 0.044 0.574 [4 per cell]
O 0.250 0.359 0.574 [4 per cell]



Entry 9:
The following is a DFT calculation (GGA-PBE) of a geometry-optimized Li2Ti3P9O28 structure.

Values from the calculation:
Energy   -7.3952 eV/atom

Cell lengths 7.266, 9.268, 9.598 Å; angles 111.58, 110.31, 99.04 degrees
Space group P-1 (No. 2)
One atom of each set of equivalent atoms:
Li 0.200 0.496 0.235 [2 per cell]
Ti 0.000 0.000 0.000 [1 per cell]
Ti 0.251 0.496 0.745 [2 per cell]
P 0.164 0.191 0.404 [2 per cell]
P 0.203 0.739 0.561 [2 per cell]
P 0.308 0.263 0.941 [2 per cell]
P 0.319 0.794 0.089 [2 per cell]
P 0.500 0.000 0.500 [1 per cell]
O 0.064 0.852 0.599 [2 per cell]
O 0.072 0.594 0.384 [2 per cell]
O 0.127 0.150 0.935 [2 per cell]
O 0.129 0.185 0.234 [2 per cell]
O 0.190 0.622 0.939 [2 per cell]
O 0.236 0.313 0.802 [2 per cell]
O 0.239 0.929 0.059 [2 per cell]
O 0.244 0.061 0.438 [2 per cell]
O 0.259 0.679 0.694 [2 per cell]
O 0.286 0.369 0.543 [2 per cell]
O 0.346 0.789 0.251 [2 per cell]
O 0.396 0.845 0.576 [2 per cell]
O 0.430 0.413 0.116 [2 per cell]
O 0.455 0.156 0.909 [2 per cell]



Entry 10:
The following is a DFT calculation (GGA-PBE) of a geometry-optimized YCuS2 structure.

Values from the calculation:
Energy   -6.0817 eV/atom

Cell lengths 3.962, 6.265, 13.484 Å; angles 90.00, 90.00, 90.00 degrees
Space group P2_12_12_1 (No. 19)
One atom of each set of equivalent atoms:
Y 0.246 0.250 0.133 [4 per cell]
Cu 0.244 0.624 0.955 [4 per cell]
S 0.245 0.002 0.960 [4 per cell]
S 0.247 0.492 0.796 [4 per cell]



Entry 11:
The following is a DFT calculation (GGA-PBE) of a geometry-optimized Ca3SnO structure.

Values from the calculation:
Energy   -4.6248 eV/atom

Cell lengths 4.851, 4.851, 4.851 Å; angles 90.00, 90.00, 90.00 degrees
Space group Pm-3m (No. 221)
One atom of each set of equivalent atoms:
Ca 0.000 0.000 0.500 [3 per cell]
Sn 0.500 0.500 0.500 [1 per cell]
O 0.000 0.000 0.000 [1 per cell]



Entry 12:
The following is a DFT calculation (GGA-PBE) of a geometry-optimized Be2BH3O5 structure.

Values from the calculation:
Largest piezoelectric modulus   0.8 C/m²
Energy   -6.4799 eV/atom

Cell lengths 4.431, 4.463, 5.408 Å; angles 87.60, 89.47, 60.25 degrees
Space group P1 (No. 1)
One atom of each set of equivalent atoms:
Be 0.000 0.000 0.000 [1 per cell]
Be 0.342 0.318 0.205 [1 per cell]
B 0.669 0.660 0.098 [1 per cell]
H 0.128 0.122 0.613 [1 per cell]
H 0.241 0.520 0.572 [1 per cell]
H 0.746 0.127 0.614 [1 per cell]
O 0.357 0.661 0.098 [1 per cell]
O 0.362 0.289 0.506 [1 per cell]
O 0.669 0.968 0.096 [1 per cell]
O 0.977 0.351 0.099 [1 per cell]
O 0.992 0.013 0.692 [1 per cell]



no.,density (g/cm³)
1,8.8
2,7.0
3,8.2
4,3.6
5,4.8
6,3.2
7,7.0
8,3.0
9,2.8
10,4.3
11,3.7
12,2.0